DFT (GGA-PBE) results for BaSrEuBiO6 after structural relaxation.

## Properties
The value obtained for the distance to the lowest polymorph of the same formula is 7.8 meV per atom. Its symmetry is P222.

```
40
Lattice="8.692 0.000 0.000 0.000 8.698 0.000 0.000 0.000 8.688" Properties=species:S:1:pos:R:3 pbc="T T T"
Eu 2.195 2.178 2.174
O 1.863 4.432 2.562
O 0.081 1.892 6.288
Ba 0.000 4.349 0.000
O 6.185 8.619 6.867
Eu 2.195 6.520 6.514
O 4.418 2.578 1.845
O 2.562 1.836 4.427
O 4.418 6.121 6.843
O 1.907 6.274 0.069
O 6.829 4.432 6.126
O 6.185 0.079 1.821
Sr 4.346 0.000 4.344
O 0.081 6.806 2.400
O 6.785 2.424 0.069
O 6.130 1.836 4.262
Bi 2.200 6.520 2.171
O 1.863 4.266 6.126
O 6.785 6.274 8.619
O 8.611 1.892 2.400
Sr 0.000 4.349 4.344
O 6.829 4.266 2.562
O 4.274 6.121 1.845
Bi 6.492 6.520 6.517
O 1.907 2.424 8.619
O 2.508 8.619 1.821
Sr 4.346 4.349 0.000
O 8.611 6.806 6.288
Sr 4.346 0.000 0.000
Bi 2.200 2.178 6.517
O 4.274 2.578 6.843
Eu 6.497 6.520 2.174
Eu 6.497 2.178 6.514
O 6.130 6.862 4.427
O 2.508 0.079 6.867
Ba 4.346 4.349 4.344
Bi 6.492 2.178 2.171
Ba 0.000 0.000 4.344
Ba 0.000 0.000 0.000
O 2.562 6.862 4.262
```

DFT (GGA-PBE) results for Si after structural relaxation.

## Properties
The value obtained for the distance to the lowest polymorph of the same formula is 531.6 meV per atom. Its symmetry is Fm-3m.

```
1
Lattice="1.484 -2.284 -0.261 -0.906 -2.048 -1.572 1.245 -0.559 -2.372" Properties=species:S:1:pos:R:3 pbc="T T T"
Si 0.000 0.000 0.000
```

DFT (GGA-PBE) results for Na2PtO3 after structural relaxation.

## Properties
Its symmetry is P1.

```
24
Lattice="3.491 -4.249 9.012 -1.996 -5.083 8.452 2.687 -4.783 -1.005" Properties=species:S:1:pos:R:3 pbc="T T T"
Na 1.633 -4.952 4.666
Na 1.498 -5.647 7.604
O 3.777 -6.072 4.369
O 3.399 -7.183 10.783
Na 2.337 -9.956 14.756
O 4.994 -9.338 8.596
O 4.635 -10.411 11.826
Na 1.272 -6.363 10.655
Na 1.875 -4.150 1.697
Pt 0.407 -2.125 3.645
O 3.732 -6.596 7.769
Pt 3.571 -12.773 15.921
O 2.390 -3.623 6.664
Na 2.728 -8.488 8.850
Na 2.472 -9.189 11.742
O 0.395 -8.047 12.128
O 1.809 -10.497 9.802
O 0.429 -7.472 8.667
O -0.812 -4.737 7.871
Pt 3.764 -12.011 12.829
Na 2.935 -7.749 5.764
Pt 0.669 -1.369 0.502
O 0.792 -6.959 5.707
O -0.454 -3.644 4.700
```

| no. | formation enthalpy at 0 K (meV/atom) | M_tot (μB/cell) |
| --- | --- | --- |
| 1 | -2597 | 24.00 |
| 2 | 532 | 0.00 |
| 3 | -1482 | 0.00 |